This record from the Materials Project describes crystalline CeAgHg2 at its relaxed geometry. The functional is r2SCAN.

Results
The calculation puts the total magnetization at 1.09 μB per formula unit. The energy relative to the elements comes out at -0.38 eV/atom.

a b c (Å): 5.1148 5.1148 5.1148
angles (deg): 60.00 60.00 60.00
With the nearest neighbours (Å) after each atom.
Fractional positions:
Ce: 0.0000 0.0000 0.0000  8 Hg 3.13
Ag: 0.5000 0.5000 0.5000  8 Hg 3.13
Hg: 0.2500 0.2500 0.2500  4 Ag 3.13, 4 Ce 3.13
Hg: 0.7500 0.7500 0.7500  4 Ce 3.13, 4 Ag 3.13



This record from the Materials Project describes crystalline CeInAg2 at its relaxed geometry. The functional is r2SCAN.

Results
The calculation puts the total magnetization at 1.10 μB per formula unit. The energy relative to the elements comes out at -0.37 eV/atom.

a b c (Å): 5.0487 5.0487 5.0487
angles (deg): 60.00 60.00 60.00
With the nearest neighbours (Å) after each atom.
Fractional positions:
Ce: 0.0000 0.0000 0.0000  8 Ag 3.09
In: 0.5000 0.5000 0.5000  8 Ag 3.09
Ag: 0.2500 0.2500 0.2500  4 In 3.09, 4 Ce 3.09
Ag: 0.7500 0.7500 0.7500  4 In 3.09, 4 Ce 3.09



This record from the Materials Project describes crystalline Ce5AgPb3 at its relaxed geometry. The functional is r2SCAN.

Results
The calculation puts the total magnetization at 6.98 μB per formula unit. The energy relative to the elements comes out at -0.59 eV/atom.

a b c (Å): 9.7569 9.7569 6.6626
angles (deg): 90.00 90.00 120.00
With the nearest neighbours (Å) after each atom.
Fractional positions:
Ce: 0.0000 0.2805 0.2500  2 Ag 3.20, 5 Pb 3.27-3.45
Ce: 0.0000 0.7195 0.7500  2 Ag 3.20, 5 Pb 3.27-3.45
Ce: 0.2805 0.0000 0.2500  2 Ag 3.20, 5 Pb 3.27-3.45
Ce: 0.2805 0.2805 0.7500  2 Ag 3.20, 5 Pb 3.27-3.45
Ce: 0.3333 0.6667 0.0000  2 Ce 3.33, 6 Pb 3.50
Ce: 0.3333 0.6667 0.5000  2 Ce 3.33, 6 Pb 3.50
Ce: 0.6667 0.3333 0.0000  2 Ce 3.33, 6 Pb 3.50
Ce: 0.6667 0.3333 0.5000  2 Ce 3.33, 6 Pb 3.50
Ce: 0.7195 0.0000 0.7500  2 Ag 3.20, 5 Pb 3.27-3.45
Ce: 0.7195 0.7195 0.2500  2 Ag 3.20, 5 Pb 3.27-3.45
Ag: 0.0000 0.0000 0.0000  6 Ce 3.20, 2 Ag 3.33
Ag: 0.0000 0.0000 0.5000  6 Ce 3.20, 2 Ag 3.33
Pb: 0.0000 0.3716 0.7500  9 Ce 3.27-3.50
Pb: 0.0000 0.6284 0.2500  9 Ce 3.27-3.50
Pb: 0.3716 0.0000 0.7500  9 Ce 3.27-3.50
Pb: 0.3716 0.3716 0.2500  9 Ce 3.27-3.50
Pb: 0.6284 0.0000 0.2500  9 Ce 3.27-3.50
Pb: 0.6284 0.6284 0.7500  9 Ce 3.27-3.50



This record from the Materials Project describes crystalline CeSi2Ag at its relaxed geometry. The functional is r2SCAN.

Results
The calculation puts the total magnetization at 0.92 μB per formula unit. The energy relative to the elements comes out at -0.53 eV/atom.

a b c (Å): 9.0291 9.0291 4.2134
angles (deg): 90.00 90.00 152.87
With the nearest neighbours (Å) after each atom.
Fractional positions:
Ce: 0.0965 0.9035 0.7500  10 Si 3.09-3.21, 4 Ag 3.40-3.45
Ce: 0.9035 0.0965 0.2500  10 Si 3.09-3.21, 4 Ag 3.40-3.45
Si: 0.3362 0.6638 0.7500  1 Si 2.31, 2 Ag 2.58
Si: 0.4680 0.5320 0.7500  3 Si 2.31-2.39
Si: 0.5320 0.4680 0.2500  3 Si 2.31-2.39
Si: 0.6638 0.3362 0.2500  1 Si 2.31, 2 Ag 2.58
Ag: 0.2482 0.7518 0.2500  4 Si 2.58-2.61
Ag: 0.7518 0.2482 0.7500  4 Si 2.58-2.61



Record order is preserved below.
Final energy: -38.1137, -24.3978, -38.8628, -17.9642 eV per atom